Entry 1:
# LiCo2OF3

Crystalline LiCo2OF3 at its relaxed geometry (PBE+U, the Materials Project database).

a = 5.986 Å, b = 5.986 Å, c = 5.164 Å
α = 90.00°, β = 90.00°, γ = 120.00°
Sites, in units of the cell vectors:
Li 0.333 0.667 0.026
Li 0.667 0.333 0.974
Co 0.000 0.000 0.000
Co 0.000 0.500 0.500
Co 0.500 0.000 0.500
Co 0.500 0.500 0.500
O 0.333 0.667 0.667
O 0.667 0.333 0.333
F 0.171 0.342 0.220
F 0.171 0.829 0.220
F 0.342 0.171 0.780
F 0.658 0.829 0.220
F 0.829 0.171 0.780
F 0.829 0.658 0.780

Results
SG = P-3m1
E_form = -2195 meV/atom
Distance to the lowest polymorph of the same formula = 24 meV/atom

=====

Entry 2:
# YWClO4

Crystalline YWClO4 at its relaxed geometry (PBE+U, the Materials Project database).

a = 6.366 Å, b = 6.366 Å, c = 6.952 Å
α = 103.97°, β = 103.97°, γ = 70.81°
Sites, in units of the cell vectors:
Y 0.222 0.222 0.116
Y 0.778 0.778 0.884
W 0.363 0.363 0.732
W 0.637 0.637 0.268
Cl 0.011 0.011 0.768
Cl 0.989 0.989 0.232
O 0.110 0.491 0.849
O 0.294 0.294 0.464
O 0.456 0.456 0.202
O 0.491 0.110 0.849
O 0.509 0.890 0.151
O 0.544 0.544 0.798
O 0.706 0.706 0.536
O 0.890 0.509 0.151

Results
SG = C2/m
E_form = -2655 meV/atom

=====

Entry 3:
# LiCoPO4

Crystalline LiCoPO4 at its relaxed geometry (PBE+U, the Materials Project database).

a = 8.639 Å, b = 5.121 Å, c = 15.459 Å
α = 90.00°, β = 93.71°, γ = 90.00°
Sites, in units of the cell vectors:
Li 0.124 0.231 0.242
Li 0.124 0.269 0.742
Li 0.297 0.243 0.498
Li 0.297 0.257 0.998
Li 0.703 0.743 0.002
Li 0.703 0.757 0.502
Li 0.876 0.731 0.258
Li 0.876 0.769 0.758
Co 0.069 0.703 0.417
Co 0.069 0.797 0.917
Co 0.410 0.741 0.653
Co 0.410 0.759 0.153
Co 0.590 0.241 0.847
Co 0.590 0.259 0.347
Co 0.931 0.203 0.083
Co 0.931 0.297 0.583
P 0.066 0.708 0.108
P 0.066 0.792 0.608
P 0.405 0.749 0.867
P 0.405 0.751 0.367
P 0.595 0.249 0.633
P 0.595 0.251 0.133
P 0.934 0.208 0.392
P 0.934 0.292 0.892
O 0.015 0.012 0.332
O 0.015 0.488 0.832
O 0.046 0.250 0.474
O 0.046 0.250 0.974
O 0.080 0.522 0.654
O 0.080 0.978 0.154
O 0.225 0.602 0.086
O 0.225 0.898 0.586
O 0.287 0.616 0.425
O 0.287 0.884 0.925
O 0.350 0.701 0.271
O 0.350 0.799 0.771
O 0.413 0.048 0.389
O 0.413 0.452 0.889
O 0.433 0.124 0.111
O 0.433 0.376 0.611
O 0.567 0.624 0.389
O 0.567 0.876 0.889
O 0.587 0.548 0.111
O 0.587 0.952 0.611
O 0.650 0.201 0.229
O 0.650 0.299 0.729
O 0.713 0.116 0.075
O 0.713 0.384 0.575
O 0.775 0.102 0.414
O 0.775 0.398 0.914
O 0.920 0.022 0.846
O 0.920 0.478 0.346
O 0.954 0.750 0.026
O 0.954 0.750 0.526
O 0.985 0.512 0.168
O 0.985 0.988 0.668

Results
SG = P2_1/c
E_form = -2330 meV/atom
Distance to the lowest polymorph of the same formula = 78 meV/atom

=====

Entry 4:
# Li9Co7O16

Crystalline Li9Co7O16 at its relaxed geometry (PBE+U, the Materials Project database).

a = 2.947 Å, b = 7.799 Å, c = 12.575 Å
α = 90.89°, β = 90.04°, γ = 100.71°
Sites, in units of the cell vectors:
Li 0.000 0.000 0.000
Li 0.063 0.127 0.689
Li 0.180 0.364 0.058
Li 0.312 0.625 0.438
Li 0.438 0.876 0.820
Li 0.562 0.124 0.180
Li 0.688 0.375 0.562
Li 0.820 0.636 0.942
Li 0.937 0.873 0.311
Co 0.125 0.250 0.372
Co 0.248 0.495 0.750
Co 0.370 0.756 0.121
Co 0.500 0.000 0.500
Co 0.630 0.244 0.879
Co 0.752 0.505 0.250
Co 0.875 0.750 0.628
O 0.040 0.089 0.848
O 0.093 0.183 0.523
O 0.159 0.319 0.222
O 0.216 0.414 0.898
O 0.283 0.564 0.602
O 0.339 0.684 0.271
O 0.403 0.802 0.982
O 0.464 0.932 0.651
O 0.536 0.068 0.349
O 0.597 0.198 0.018
O 0.661 0.316 0.729
O 0.717 0.436 0.398
O 0.784 0.586 0.102
O 0.841 0.681 0.778
O 0.907 0.817 0.477
O 0.960 0.911 0.152

Results
SG = P-1
E_form = -1698 meV/atom
Distance to the lowest polymorph of the same formula = 58 meV/atom

=====

Entry 5:
# K2U2WO10

Crystalline K2U2WO10 at its relaxed geometry (PBE+U, the Materials Project database).

a = 8.373 Å, b = 29.136 Å, c = 10.939 Å
α = 90.00°, β = 124.62°, γ = 90.00°
Sites, in units of the cell vectors:
K 0.016 0.105 0.000
K 0.016 0.122 0.605
K 0.016 0.378 0.105
K 0.016 0.395 0.500
K 0.040 0.249 0.467
K 0.040 0.251 0.967
K 0.049 0.018 0.327
K 0.049 0.482 0.827
K 0.951 0.518 0.173
K 0.951 0.982 0.673
K 0.960 0.749 0.033
K 0.960 0.751 0.533
K 0.984 0.605 0.500
K 0.984 0.622 0.895
K 0.984 0.878 0.395
K 0.984 0.895 0.000
U 0.457 0.668 0.287
U 0.457 0.832 0.787
U 0.467 0.686 0.646
U 0.467 0.814 0.146
U 0.483 0.098 0.576
U 0.483 0.402 0.076
U 0.500 0.068 0.968
U 0.500 0.432 0.468
U 0.500 0.568 0.532
U 0.500 0.932 0.032
U 0.517 0.598 0.924
U 0.517 0.902 0.424
U 0.533 0.186 0.854
U 0.533 0.314 0.354
U 0.543 0.168 0.213
U 0.543 0.332 0.713
W 0.369 0.710 0.957
W 0.369 0.790 0.457
W 0.421 0.533 0.187
W 0.421 0.967 0.687
W 0.579 0.033 0.313
W 0.579 0.467 0.813
W 0.631 0.210 0.543
W 0.631 0.290 0.043
O 0.115 0.709 0.823
O 0.115 0.791 0.323
O 0.167 0.544 0.055
O 0.167 0.956 0.555
O 0.189 0.666 0.176
O 0.189 0.834 0.676
O 0.200 0.679 0.535
O 0.200 0.821 0.035
O 0.219 0.108 0.460
O 0.219 0.392 0.960
O 0.230 0.067 0.865
O 0.230 0.433 0.365
O 0.232 0.564 0.430
O 0.232 0.936 0.930
O 0.252 0.587 0.809
O 0.252 0.913 0.309
O 0.269 0.197 0.730
O 0.269 0.303 0.230
O 0.277 0.175 0.110
O 0.277 0.325 0.610
O 0.404 0.735 0.137
O 0.404 0.765 0.637
O 0.426 0.027 0.624
O 0.426 0.473 0.124
O 0.428 0.056 0.375
O 0.428 0.444 0.875
O 0.436 0.653 0.064
O 0.436 0.847 0.564
O 0.456 0.732 0.439
O 0.456 0.768 0.939
O 0.473 0.680 0.859
O 0.473 0.820 0.359
O 0.476 0.506 0.370
O 0.476 0.994 0.870
O 0.485 0.589 0.308
O 0.485 0.911 0.808
O 0.488 0.109 0.784
O 0.488 0.391 0.284
O 0.488 0.643 0.490
O 0.488 0.857 0.990
O 0.512 0.143 0.010
O 0.512 0.357 0.510
O 0.512 0.609 0.716
O 0.512 0.891 0.216
O 0.515 0.089 0.192
O 0.515 0.411 0.692
O 0.524 0.006 0.130
O 0.524 0.494 0.630
O 0.527 0.180 0.641
O 0.527 0.320 0.141
O 0.544 0.232 0.061
O 0.544 0.268 0.561
O 0.564 0.153 0.436
O 0.564 0.347 0.936
O 0.572 0.556 0.125
O 0.572 0.944 0.625
O 0.574 0.527 0.876
O 0.574 0.973 0.376
O 0.596 0.235 0.363
O 0.596 0.265 0.863
O 0.723 0.675 0.390
O 0.723 0.825 0.890
O 0.731 0.697 0.770
O 0.731 0.803 0.270
O 0.748 0.087 0.691
O 0.748 0.413 0.191
O 0.768 0.064 0.070
O 0.768 0.436 0.570
O 0.770 0.567 0.635
O 0.770 0.933 0.135
O 0.781 0.608 0.040
O 0.781 0.892 0.540
O 0.800 0.179 0.965
O 0.800 0.321 0.465
O 0.811 0.166 0.324
O 0.811 0.334 0.824
O 0.833 0.044 0.445
O 0.833 0.456 0.945
O 0.885 0.209 0.677
O 0.885 0.291 0.177

Results
SG = P2_1/c
E_form = -3029 meV/atom

=====

Entry 6:
# Li9Mn2Co5O16

Crystalline Li9Mn2Co5O16 at its relaxed geometry (PBE+U, the Materials Project database).

a = 7.753 Å, b = 7.753 Å, c = 5.210 Å
α = 104.77°, β = 104.77°, γ = 95.54°
Sites, in units of the cell vectors:
Li 0.000 0.000 0.000
Li 0.123 0.369 0.996
Li 0.244 0.244 0.494
Li 0.375 0.129 0.996
Li 0.500 0.002 0.502
Li 0.631 0.877 0.004
Li 0.756 0.756 0.506
Li 0.871 0.625 0.004
Li 0.998 0.500 0.498
Mn 0.125 0.875 0.500
Mn 0.248 0.752 0.000
Co 0.375 0.625 0.500
Co 0.498 0.502 0.000
Co 0.624 0.376 0.500
Co 0.754 0.246 0.000
Co 0.875 0.125 0.500
O 0.021 0.761 0.737
O 0.121 0.113 0.722
O 0.137 0.632 0.275
O 0.239 0.979 0.263
O 0.258 0.507 0.768
O 0.368 0.863 0.725
O 0.389 0.390 0.271
O 0.493 0.742 0.232
O 0.518 0.259 0.778
O 0.610 0.611 0.729
O 0.632 0.142 0.266
O 0.741 0.482 0.222
O 0.752 0.024 0.762
O 0.858 0.368 0.734
O 0.887 0.879 0.278
O 0.976 0.248 0.238

Results
SG = C2
E_form = -1817 meV/atom
Distance to the lowest polymorph of the same formula = 48 meV/atom